(1)
{
  "formula": "Eu2TeO2",
  "functional": "GGA-PBE",
  "state": "relaxed",
  "lattice": [[7.162, 1.303, 1.250], [4.795, -2.016, 5.244], [-5.292, -1.960, -4.765]],
  "species": ["Eu", "O", "Te", "Eu", "O"],
  "fractional_positions": [[0.332, 0.332, 0.000], [0.250, 0.750, 0.500], [0.000, 0.000, 0.000], [0.668, 0.668, 0.000], [0.750, 0.250, 0.500]],
  "sg": "I4/mmm, No. 139",
  "e_form_ev_per_fu": -13.2,
  "density_g_cm3": 6.94
}

***

(2)
{
  "formula": "Ca3SiBr2",
  "functional": "GGA-PBE",
  "state": "relaxed",
  "lattice": [[1.935, 9.658, -7.906], [-2.551, 9.341, -8.110], [-0.609, 11.673, -4.785]],
  "species": ["Ca", "Br", "Ca", "Ca", "Br", "Si"],
  "fractional_positions": [[0.132, 0.132, 0.132], [0.707, 0.707, 0.707], [0.868, 0.868, 0.868], [0.000, 0.000, 0.000], [0.293, 0.293, 0.293], [0.500, 0.500, 0.500]],
  "m_tot_mub_per_fu": 0.0,
  "sg": "R-3m, No. 166",
  "e_form_ev_per_fu": -7.4,
  "density_g_cm3": 2.36
}

***

(3)
{
  "formula": "NaMgInS3O12",
  "functional": "GGA-PBE",
  "state": "relaxed",
  "lattice": [[8.766, 0.000, 0.000], [-4.383, 7.592, 0.000], [0.000, 0.000, 23.145]],
  "species": ["O", "O", "O", "S", "O", "S", "Na", "O", "S", "O", "O", "O", "S", "O", "O", "O", "O", "O", "O", "O", "O", "O", "O", "O", "O", "O", "Mg", "O", "O", "O", "S", "O", "O", "O", "Mg", "O", "Mg", "O", "O", "O", "S", "S", "O", "Na", "In", "Mg", "S", "O", "O", "O", "O", "Na", "In", "O", "O", "O", "O", "S", "Na", "O", "O", "In", "O", "O", "O", "O", "O", "O", "O", "Na", "O", "O", "Mg", "O", "O", "O", "O", "O", "S", "S", "S", "O", "S", "S", "In", "S", "In", "O", "O", "O", "O", "O", "S", "S", "O", "O", "Na", "O", "O", "O", "Mg", "O", "O", "O", "In", "O", "S", "O"],
  "fractional_positions": [[0.523, 0.636, 0.864], [0.471, 0.161, 0.244], [0.697, 0.144, 0.031], [0.708, 0.704, 0.251], [0.523, 0.887, 0.364], [0.375, 0.038, 0.584], [0.333, 0.667, 0.665], [0.862, 0.508, 0.422], [0.708, 0.003, 0.751], [0.980, 0.805, 0.089], [0.158, 0.687, 0.756], [0.804, 0.976, 0.411], [0.629, 0.670, 0.918], [0.780, 0.810, 0.197], [0.313, 0.471, 0.756], [0.856, 0.303, 0.531], [0.210, 0.025, 0.302], [0.113, 0.636, 0.364], [0.149, 0.692, 0.469], [0.195, 0.175, 0.089], [0.024, 0.828, 0.411], [0.113, 0.477, 0.864], [0.492, 0.138, 0.922], [0.641, 0.518, 0.636], [0.691, 0.529, 0.244], [0.505, 0.643, 0.577], [0.000, 0.000, 0.851], [0.308, 0.457, 0.469], [0.646, 0.138, 0.422], [0.137, 0.495, 0.577], [0.962, 0.337, 0.584], [0.446, 0.144, 0.531], [0.975, 0.790, 0.802], [0.529, 0.687, 0.256], [0.667, 0.333, 0.685], [0.691, 0.161, 0.744], [0.667, 0.333, 0.185], [0.357, 0.863, 0.577], [0.195, 0.020, 0.589], [0.190, 0.970, 0.197], [0.962, 0.625, 0.084], [0.997, 0.292, 0.251], [0.804, 0.828, 0.911], [0.333, 0.667, 0.165], [0.000, 0.000, 0.150], [0.000, 0.000, 0.351], [0.296, 0.003, 0.251], [0.172, 0.196, 0.411], [0.780, 0.970, 0.697], [0.313, 0.842, 0.256], [0.980, 0.175, 0.589], [0.000, 0.000, 0.498], [0.333, 0.667, 0.817], [0.697, 0.554, 0.531], [0.471, 0.309, 0.744], [0.877, 0.518, 0.136], [0.308, 0.851, 0.969], [0.997, 0.704, 0.751], [0.667, 0.333, 0.831], [0.482, 0.123, 0.636], [0.210, 0.185, 0.802], [0.333, 0.667, 0.317], [0.825, 0.805, 0.589], [0.505, 0.863, 0.077], [0.364, 0.477, 0.364], [0.492, 0.354, 0.422], [0.815, 0.790, 0.302], [0.137, 0.643, 0.077], [0.364, 0.887, 0.864], [0.667, 0.333, 0.331], [0.030, 0.810, 0.697], [0.815, 0.025, 0.802], [0.333, 0.667, 0.018], [0.862, 0.354, 0.922], [0.825, 0.020, 0.089], [0.158, 0.471, 0.256], [0.482, 0.359, 0.136], [0.641, 0.123, 0.136], [0.663, 0.038, 0.084], [0.629, 0.959, 0.418], [0.296, 0.292, 0.751], [0.149, 0.457, 0.969], [0.041, 0.670, 0.418], [0.330, 0.371, 0.418], [0.667, 0.333, 0.484], [0.041, 0.371, 0.918], [0.000, 0.000, 0.650], [0.975, 0.185, 0.302], [0.190, 0.220, 0.697], [0.877, 0.359, 0.636], [0.646, 0.508, 0.922], [0.024, 0.196, 0.911], [0.375, 0.337, 0.084], [0.330, 0.959, 0.918], [0.030, 0.220, 0.197], [0.856, 0.554, 0.031], [0.000, 0.000, 0.998], [0.172, 0.976, 0.911], [0.446, 0.303, 0.031], [0.529, 0.842, 0.756], [0.333, 0.667, 0.518], [0.357, 0.495, 0.077], [0.543, 0.692, 0.969], [0.543, 0.851, 0.469], [0.667, 0.333, 0.984], [0.839, 0.529, 0.744], [0.663, 0.625, 0.584], [0.839, 0.309, 0.244]],
  "m_tot_mub_per_fu": 0.0,
  "e_form_ev_per_fu": -38.8,
  "density_g_cm3": 2.91
}

***

(4)
{
  "formula": "ErBi",
  "functional": "GGA-PBE",
  "state": "relaxed",
  "lattice": [[3.283, -2.626, 1.454], [-0.440, -2.188, 3.848], [-0.519, -4.418, -0.001]],
  "species": ["Bi", "Er"],
  "fractional_positions": [[0.000, 0.000, 0.000], [0.500, 0.500, 0.500]],
  "sg": "Fm-3m, No. 225",
  "e_form_ev_per_fu": -1.6,
  "density_g_cm3": 10.04
}

***

(5)
{
  "formula": "AgF3",
  "functional": "GGA-PBE",
  "state": "relaxed",
  "lattice": [[-2.330, -1.612, -4.355], [-1.407, -1.989, 4.589], [-10.600, 11.103, 1.562]],
  "species": ["F", "Ag", "F", "Ag", "F", "F", "F", "Ag", "F", "F", "F", "F", "F", "F", "Ag", "F", "F", "Ag", "F", "F", "F", "Ag", "F", "F"],
  "fractional_positions": [[0.000, 0.257, 0.333], [0.709, 0.291, 0.417], [0.107, 0.445, 0.664], [0.291, 0.582, 0.250], [0.555, 0.663, 0.998], [0.445, 0.337, 0.498], [0.743, 0.000, 0.500], [0.582, 0.291, 0.083], [0.743, 0.743, 0.667], [0.893, 0.337, 0.002], [0.337, 0.893, 0.331], [0.257, 0.000, 0.000], [0.257, 0.257, 0.167], [0.555, 0.893, 0.169], [0.418, 0.709, 0.583], [0.337, 0.445, 0.836], [0.893, 0.555, 0.164], [0.709, 0.418, 0.750], [0.663, 0.107, 0.831], [0.107, 0.663, 0.502], [0.663, 0.555, 0.336], [0.291, 0.709, 0.917], [0.445, 0.107, 0.669], [0.000, 0.743, 0.833]],
  "sg": "P6_122, No. 178",
  "e_form_ev_per_fu": -5.3,
  "density_g_cm3": 4.55
}

***

(6)
{
  "formula": "Li2CuP4O12",
  "functional": "GGA-PBE",
  "state": "relaxed",
  "lattice": [[-8.117, 7.403, -1.020], [-2.616, -1.828, 7.551], [6.372, 7.979, 7.207]],
  "species": ["O", "P", "P", "O", "O", "Li", "O", "O", "P", "O", "O", "Li", "P", "P", "O", "O", "O", "O", "O", "O", "Cu", "O", "Cu", "O", "P", "P", "O", "P", "O", "P", "O", "Li", "O", "Li", "O", "Li", "O", "O", "P", "O", "O", "O", "Li", "O", "P", "Cu", "O", "O", "P", "O", "P", "O", "O", "P", "O", "O", "O", "O", "O", "Li", "O", "O", "O", "O", "Li", "O", "P", "O", "O", "Cu", "P", "O", "O", "O", "O", "O"],
  "fractional_positions": [[0.291, 0.649, 0.403], [0.752, 0.062, 0.430], [0.764, 0.397, 0.978], [0.189, 0.996, 0.459], [0.419, 0.014, 0.358], [0.027, 0.379, 0.431], [0.754, 0.692, 0.746], [0.811, 0.004, 0.541], [0.124, 0.367, 0.210], [0.301, 0.752, 0.583], [0.037, 0.218, 0.193], [0.891, 0.568, 0.267], [0.736, 0.397, 0.478], [0.458, 0.030, 0.678], [0.746, 0.692, 0.246], [0.463, 0.218, 0.693], [0.047, 0.460, 0.276], [0.919, 0.986, 0.142], [0.404, 0.912, 0.776], [0.581, 0.986, 0.642], [0.239, 0.947, 0.819], [0.131, 0.047, 0.073], [0.261, 0.947, 0.319], [0.537, 0.782, 0.307], [0.042, 0.030, 0.178], [0.376, 0.367, 0.710], [0.709, 0.351, 0.597], [0.624, 0.633, 0.290], [0.328, 0.943, 0.170], [0.876, 0.633, 0.790], [0.637, 0.459, 0.941], [0.527, 0.621, 0.069], [0.869, 0.953, 0.927], [0.973, 0.621, 0.569], [0.596, 0.088, 0.224], [0.473, 0.379, 0.931], [0.863, 0.459, 0.441], [0.963, 0.782, 0.807], [0.748, 0.062, 0.930], [0.199, 0.752, 0.083], [0.672, 0.057, 0.830], [0.172, 0.943, 0.670], [0.391, 0.432, 0.233], [0.801, 0.248, 0.917], [0.542, 0.970, 0.322], [0.739, 0.053, 0.681], [0.365, 0.469, 0.583], [0.953, 0.540, 0.724], [0.236, 0.603, 0.022], [0.246, 0.308, 0.254], [0.264, 0.603, 0.522], [0.081, 0.014, 0.858], [0.363, 0.541, 0.059], [0.958, 0.970, 0.822], [0.453, 0.460, 0.776], [0.137, 0.541, 0.559], [0.699, 0.248, 0.417], [0.547, 0.540, 0.224], [0.631, 0.953, 0.427], [0.609, 0.568, 0.767], [0.311, 0.996, 0.959], [0.635, 0.531, 0.417], [0.791, 0.351, 0.097], [0.828, 0.057, 0.330], [0.109, 0.432, 0.733], [0.209, 0.649, 0.903], [0.248, 0.938, 0.570], [0.096, 0.912, 0.276], [0.254, 0.308, 0.754], [0.761, 0.053, 0.181], [0.252, 0.938, 0.070], [0.135, 0.469, 0.083], [0.689, 0.004, 0.041], [0.904, 0.088, 0.724], [0.865, 0.531, 0.917], [0.369, 0.047, 0.573]],
  "m_tot_mub_per_fu": 1.0,
  "sg": "P2_1/c, No. 14",
  "e_form_ev_per_fu": -46.0,
  "density_g_cm3": 2.37
}

***

(7)
{
  "formula": "NaMo6Se8",
  "functional": "GGA-PBE",
  "state": "relaxed",
  "lattice": [[2.556, 4.134, 4.807], [-5.105, 4.423, -1.052], [-3.756, -3.163, 4.756]],
  "species": ["Se", "Se", "Mo", "Se", "Mo", "Se", "Mo", "Se", "Mo", "Mo", "Na", "Mo", "Se", "Se", "Se"],
  "fractional_positions": [[0.236, 0.236, 0.236], [0.747, 0.124, 0.383], [0.765, 0.444, 0.579], [0.876, 0.617, 0.253], [0.556, 0.421, 0.235], [0.253, 0.876, 0.617], [0.444, 0.579, 0.765], [0.383, 0.747, 0.124], [0.421, 0.235, 0.556], [0.235, 0.556, 0.421], [0.000, 0.000, 0.000], [0.579, 0.765, 0.444], [0.124, 0.383, 0.747], [0.764, 0.764, 0.764], [0.617, 0.253, 0.876]],
  "m_tot_mub_per_fu": 0.0,
  "sg": "R-3, No. 148",
  "e_form_ev_per_fu": -12.7,
  "density_g_cm3": 6.39
}

***

(8)
{
  "formula": "Y3Mg",
  "functional": "GGA-PBE",
  "state": "relaxed",
  "lattice": [[-2.478, 2.478, 4.896], [2.478, -2.478, 4.896], [2.478, 2.478, -4.896]],
  "species": ["Mg", "Y", "Y", "Y"],
  "fractional_positions": [[0.000, 0.000, 0.000], [0.250, 0.750, 0.500], [0.750, 0.250, 0.500], [0.500, 0.500, 0.000]],
  "m_tot_mub_per_fu": 0.6,
  "sg": "I4/mmm, No. 139",
  "e_form_ev_per_fu": 0.1,
  "density_g_cm3": 4.02
}